Entry from Materials Project: a geometry-optimized Tm2Ni2Pb structure (r2SCAN).

a b c (Å): 3.956 13.973 3.595
angles (deg): 90.00 90.00 90.00
Space group Cmmm (No. 65)
One atom of each set of equivalent atoms:
Tm 0.000 0.141 0.000 (multiplicity 4)
Ni 0.000 0.299 0.500 (multiplicity 4)
Pb 0.000 0.500 0.500 (multiplicity 2)

- ρ: 11.1 g/cm3
- DFT total energy: -30.6571 eV/atom